This record from the Materials Project database describes crystalline MnP3H6NO7 at its relaxed geometry. The functional is GGA+U.

Cell lengths 7.641, 9.501, 15.587 Å; angles 90.00, 90.00, 109.06 degrees
Element x y z (fractional)
Mn (0.096, 0.595, 0.172)
Mn (0.904, 0.405, 0.828)
Mn (0.404, 0.905, 0.672)
Mn (0.596, 0.095, 0.328)
P (0.349, 0.962, 0.148)
P (0.651, 0.038, 0.852)
P (0.151, 0.538, 0.648)
P (0.849, 0.462, 0.352)
P (0.806, 0.733, 0.067)
P (0.194, 0.267, 0.933)
P (0.694, 0.767, 0.567)
P (0.306, 0.233, 0.433)
P (0.442, 0.684, 0.329)
P (0.558, 0.316, 0.671)
P (0.058, 0.816, 0.829)
P (0.942, 0.184, 0.171)
H (0.286, 0.956, 0.504)
H (0.714, 0.044, 0.496)
H (0.214, 0.544, 0.004)
H (0.786, 0.456, 0.996)
H (0.981, 0.801, 0.310)
H (0.019, 0.199, 0.690)
H (0.519, 0.699, 0.810)
H (0.481, 0.301, 0.190)
H (0.566, 0.535, 0.808)
H (0.434, 0.465, 0.192)
H (0.934, 0.965, 0.308)
H (0.066, 0.035, 0.692)
H (0.114, 0.836, 0.545)
H (0.886, 0.164, 0.455)
H (0.386, 0.664, 0.045)
H (0.614, 0.336, 0.955)
H (0.922, 0.868, 0.403)
H (0.078, 0.132, 0.597)
H (0.578, 0.632, 0.903)
H (0.422, 0.368, 0.097)
H (0.128, 0.955, 0.357)
H (0.872, 0.045, 0.643)
H (0.372, 0.545, 0.857)
H (0.628, 0.455, 0.143)
N (0.990, 0.897, 0.344)
N (0.010, 0.103, 0.656)
N (0.510, 0.603, 0.844)
N (0.490, 0.397, 0.156)
O (0.849, 0.590, 0.092)
O (0.151, 0.410, 0.908)
O (0.651, 0.910, 0.592)
O (0.349, 0.090, 0.408)
O (0.526, 0.853, 0.327)
O (0.474, 0.147, 0.673)
O (0.974, 0.647, 0.827)
O (0.026, 0.353, 0.173)
O (0.185, 0.839, 0.185)
O (0.815, 0.161, 0.815)
O (0.315, 0.661, 0.685)
O (0.685, 0.339, 0.315)
O (0.142, 0.886, 0.743)
O (0.858, 0.114, 0.257)
O (0.358, 0.614, 0.243)
O (0.642, 0.386, 0.757)
O (0.932, 0.589, 0.288)
O (0.068, 0.411, 0.712)
O (0.568, 0.911, 0.788)
O (0.432, 0.089, 0.212)
O (0.249, 0.882, 0.551)
O (0.751, 0.118, 0.449)
O (0.251, 0.618, 0.051)
O (0.749, 0.382, 0.949)
O (0.869, 0.803, 0.514)
O (0.131, 0.197, 0.486)
O (0.631, 0.697, 0.014)
O (0.369, 0.303, 0.986)

## Properties
space-group type = P2_1/c
raw total energy = -108.7 eV/f.u.
ρ = 1.74 g/cm³
energy of formation = -1.47 eV per atom